Entry from the Materials Project database: crystalline Ba3Cr2O8 at its relaxed geometry (meta-GGA r2SCAN).

Computed properties:
**Total moment**: 4.0 μB per cell
**Energy above the most stable polymorph in this dataset**: 0.01 eV/f.u.
**V**: 15.87 Å³ per atom
**Crystal system**: triclinic

a b c (Å): 5.767 5.765 14.715
angles (deg): 78.68 90.11 120.01
Sites, in units of the cell vectors:
O 0.383 0.283 0.346
O 0.104 0.733 0.651
O 0.123 0.730 0.150
O 0.157 0.295 0.506
O 0.835 0.640 0.494
O 0.394 0.279 0.850
O 0.624 0.730 0.650
O 0.876 0.757 0.849
O 0.116 0.246 0.153
O 0.896 0.281 0.348
O 0.349 0.649 0.994
O 0.603 0.733 0.153
O 0.376 0.757 0.350
O 0.883 0.284 0.845
O 0.615 0.245 0.655
O 0.671 0.305 0.006
Cr 0.705 0.409 0.889
Cr 0.795 0.593 0.611
Cr 0.297 0.594 0.111
Cr 0.203 0.408 0.389
Ba 0.897 0.796 0.309
Ba 0.603 0.208 0.191
Ba 0.397 0.795 0.809
Ba 0.502 0.023 0.500
Ba 0.103 0.208 0.691
Ba 0.993 0.018 0.000